A relaxed Mn4FeS5 crystal, computed with PBE.

```
10
Lattice="1.7902 5.9109 0.0000 -1.7902 5.9109 0.0000 0.0000 4.3505 7.5542" Properties=species:S:1:pos:R:3 pbc="T T T"
S 0.0000 5.4185 5.3226
S 0.0000 7.4829 0.7567
S 0.0000 10.7538 2.2317
S 0.0000 8.6895 6.7975
Fe 0.0000 0.0000 0.0000
S 0.0000 2.1753 3.7771
Mn 0.0000 6.4385 3.0198
Mn 0.0000 3.2204 1.4625
Mn 0.0000 9.7338 4.5344
Mn 0.0000 12.9520 6.0917
```

Values from the calculation:
Energy relative to the elements = -0.66 eV per atom
Spin magnetization = 21.063 μB per formula unit
Crystal system = monoclinic

***

A relaxed Mn4FeS5 crystal, computed with PBE.

```
10
Lattice="-0.7256 12.3430 8.0802 -4.0122 11.1275 8.8457 -1.1980 10.0276 10.7785" Properties=species:S:1:pos:R:3 pbc="T T T"
S -1.7873 10.0865 8.3420
S -4.1485 23.4115 19.3624
Mn -1.1864 6.6951 5.5371
S -2.9679 16.7490 13.8522
S -0.5930 3.3464 2.7676
Mn -4.7495 26.8029 22.1673
Fe 0.0000 0.0000 0.0000
Mn -3.5705 20.1498 16.6648
S -5.3429 30.1517 24.9369
Mn -2.3653 13.3483 11.0396
```

Values from the calculation:
Energy relative to the elements = -0.66 eV per atom
Spin magnetization = 21.522 μB per formula unit
Crystal system = trigonal

***

A relaxed U2MnFeSe6 crystal, computed with PBE.

```
10
Lattice="3.8913 0.0000 0.0000 1.9457 5.9853 -0.0106 0.0000 -0.0137 9.3433" Properties=species:S:1:pos:R:3 pbc="T T T"
U 3.8913 3.1421 2.3860
Se 1.9457 4.3445 4.1911
Se 3.8913 1.6271 5.1416
Fe 1.9457 -0.0068 4.6716
Se 1.9457 4.2579 0.4928
Se 3.8913 4.9779 6.9738
Se 1.9457 0.9937 2.3588
U 1.9457 2.8295 6.9467
Mn 1.9457 0.0000 0.0000
Se 3.8913 1.7137 8.8399
```

Values from the calculation:
Energy relative to the elements = -1.07 eV per atom
Spin magnetization = 11.569 μB per formula unit
Crystal system = monoclinic

***

A relaxed MnFeSi4 crystal, computed with PBE.

```
6
Lattice="2.7295 0.0000 0.0000 0.0000 2.7295 0.0000 0.0000 0.0000 10.2855" Properties=species:S:1:pos:R:3 pbc="T T T"
Si 1.3647 1.3647 3.7493
Si 1.3647 1.3647 6.5362
Mn 0.0000 0.0000 5.1427
Si 1.3647 1.3647 1.3953
Fe 0.0000 0.0000 0.0000
Si 1.3647 1.3647 8.8902
```

Values from the calculation:
Energy relative to the elements = -0.30 eV per atom
Spin magnetization = 0.810 μB per formula unit
Crystal system = tetragonal